(1)
{"formula": "SmAl", "functional": "meta-GGA r2SCAN", "state": "optimized geometry", "lattice_angstrom": [[5.903, 0.000, 0.000], [0.000, 11.642, 0.000], [0.000, 0.000, 5.694]], "species": ["Sm", "Sm", "Sm", "Sm", "Sm", "Sm", "Sm", "Sm", "Al", "Al", "Al", "Al", "Al", "Al", "Al", "Al"], "frac_coords": [[0.165, 0.012, 0.250], [0.407, 0.334, 0.250], [0.835, 0.512, 0.250], [0.593, 0.834, 0.250], [0.407, 0.166, 0.750], [0.165, 0.488, 0.750], [0.593, 0.666, 0.750], [0.835, 0.988, 0.750], [0.931, 0.250, 0.000], [0.069, 0.750, 0.000], [0.668, 0.101, 0.250], [0.332, 0.601, 0.250], [0.931, 0.250, 0.500], [0.069, 0.750, 0.500], [0.668, 0.399, 0.750], [0.332, 0.899, 0.750]], "magnetic_moment_mub_per_fu": 0.00, "e_form_ev_per_atom": -0.470, "sg": "Pbcm", "volume_a3_per_atom": 24.46}

---

(2)
{"formula": "DyB4", "functional": "meta-GGA r2SCAN", "state": "optimized geometry", "lattice_angstrom": [[-1.350, 1.097, 3.616], [-1.228, -6.799, 1.604], [6.565, -0.567, 2.624]], "species": ["Dy", "Dy", "Dy", "Dy", "B", "B", "B", "B", "B", "B", "B", "B", "B", "B", "B", "B", "B", "B", "B", "B"], "frac_coords": [[0.000, 0.682, 0.182], [0.000, 0.818, 0.682], [0.000, 0.182, 0.318], [0.000, 0.318, 0.818], [0.500, 0.462, 0.324], [0.500, 0.538, 0.676], [0.500, 0.324, 0.538], [0.500, 0.676, 0.462], [0.203, 0.000, 0.000], [0.797, 0.500, 0.500], [0.797, 0.000, 0.000], [0.203, 0.500, 0.500], [0.500, 0.087, 0.587], [0.500, 0.413, 0.087], [0.500, 0.587, 0.913], [0.500, 0.913, 0.413], [0.500, 0.176, 0.038], [0.500, 0.962, 0.176], [0.500, 0.038, 0.824], [0.500, 0.824, 0.962]], "magnetic_moment_mub_per_fu": 0.00, "e_form_ev_per_atom": -0.669, "sg": "P4/mbm", "volume_a3_per_atom": 10.09}

---

(3)
{"formula": "Ge3Os2", "functional": "meta-GGA r2SCAN", "state": "optimized geometry", "lattice_angstrom": [[5.778, 0.000, 0.000], [0.000, 5.778, 0.000], [0.000, 0.000, 9.302]], "species": ["Ge", "Ge", "Ge", "Ge", "Ge", "Ge", "Ge", "Ge", "Ge", "Ge", "Ge", "Ge", "Os", "Os", "Os", "Os", "Os", "Os", "Os", "Os"], "frac_coords": [[0.218, 0.350, 0.085], [0.350, 0.782, 0.915], [0.650, 0.218, 0.915], [0.782, 0.650, 0.085], [0.350, 0.218, 0.415], [0.650, 0.782, 0.415], [0.782, 0.350, 0.585], [0.218, 0.650, 0.585], [0.171, 0.171, 0.750], [0.171, 0.829, 0.250], [0.829, 0.171, 0.250], [0.829, 0.829, 0.750], [0.000, 0.500, 0.377], [0.500, 0.000, 0.623], [0.500, 0.000, 0.123], [0.000, 0.500, 0.877], [0.500, 0.500, 0.250], [0.500, 0.500, 0.750], [0.000, 0.000, 0.000], [0.000, 0.000, 0.500]], "magnetic_moment_mub_per_fu": 0.00, "e_form_ev_per_atom": -0.072, "sg": "P-4c2", "volume_a3_per_atom": 15.53, "relative_energy_ev_per_atom": 0.012}

---

(4)
{"formula": "MgSiIr2", "functional": "meta-GGA r2SCAN", "state": "optimized geometry", "lattice_angstrom": [[-1.463, -1.725, 3.575], [-2.374, 2.299, 2.641], [-4.126, -0.839, 0.409]], "species": ["Mg", "Si", "Ir", "Ir"], "frac_coords": [[0.250, 0.250, 0.250], [0.750, 0.750, 0.750], [0.000, 0.000, 0.000], [0.500, 0.500, 0.500]], "magnetic_moment_mub_per_fu": 0.00, "e_form_ev_per_atom": -0.605, "sg": "Fm-3m", "volume_a3_per_atom": 13.38}

---

(5)
{"formula": "Ga", "functional": "meta-GGA r2SCAN", "state": "optimized geometry", "lattice_angstrom": [[-2.987, 0.299, 0.452], [0.012, -0.790, -2.932], [-0.452, -7.632, 2.054]], "species": ["Ga", "Ga", "Ga", "Ga"], "frac_coords": [[0.220, 0.780, 0.126], [0.780, 0.220, 0.874], [0.280, 0.720, 0.626], [0.720, 0.280, 0.374]], "magnetic_moment_mub_per_fu": 0.00, "e_form_ev_per_atom": 0.125, "sg": "Cmce", "volume_a3_per_atom": 17.97, "relative_energy_ev_per_atom": 0.125}

---

(6)
{"formula": "TlSn", "functional": "meta-GGA r2SCAN", "state": "optimized geometry", "lattice_angstrom": [[0.274, -0.501, -3.259], [2.541, -1.913, -0.913], [-2.778, -5.253, -0.478]], "species": ["Tl", "Sn"], "frac_coords": [[0.327, 0.327, 0.757], [0.673, 0.673, 0.243]], "magnetic_moment_mub_per_fu": 0.00, "e_form_ev_per_atom": 0.133, "sg": "Cm", "volume_a3_per_atom": 28.94}

---

(7)
{"formula": "V2ReTc", "functional": "meta-GGA r2SCAN", "state": "optimized geometry", "lattice_angstrom": [[0.000, 3.019, 3.019], [3.019, 0.000, 3.019], [3.019, 3.019, 0.000]], "species": ["V", "V", "Re", "Tc"], "frac_coords": [[0.000, 0.000, 0.000], [0.500, 0.500, 0.500], [0.250, 0.250, 0.250], [0.750, 0.750, 0.750]], "magnetic_moment_mub_per_fu": 0.00, "e_form_ev_per_atom": -0.441, "sg": "Fm-3m", "volume_a3_per_atom": 13.76}

---

(8)
{"formula": "Nd2Mo2O7", "functional": "meta-GGA r2SCAN", "state": "optimized geometry", "lattice_angstrom": [[0.648, -7.197, 1.656], [4.874, 1.665, 5.332], [-6.684, 3.207, -0.045]], "species": ["Nd", "Nd", "Nd", "Nd", "Mo", "Mo", "Mo", "Mo", "O", "O", "O", "O", "O", "O", "O", "O", "O", "O", "O", "O", "O", "O"], "frac_coords": [[0.375, 0.625, 0.750], [0.375, 0.625, 0.250], [0.875, 0.625, 0.250], [0.375, 0.125, 0.750], [0.875, 0.625, 0.750], [0.375, 0.125, 0.250], [0.875, 0.125, 0.250], [0.875, 0.125, 0.750], [0.794, 0.206, 0.000], [0.544, 0.456, 0.500], [0.206, 0.206, 0.000], [0.956, 0.456, 0.500], [0.794, 0.794, 0.587], [0.544, 0.044, 0.087], [0.250, 0.750, 0.500], [0.956, 0.456, 0.913], [0.956, 0.044, 0.500], [0.544, 0.044, 0.500], [0.206, 0.206, 0.413], [0.500, 0.500, 0.000], [0.794, 0.794, 0.000], [0.206, 0.794, 0.000]], "magnetic_moment_mub_per_fu": 4.00, "e_form_ev_per_atom": -2.859, "sg": "Fd-3m", "volume_a3_per_atom": 13.10}

---

(9)
{"formula": "EuNi2Ge2", "functional": "meta-GGA r2SCAN", "state": "optimized geometry", "lattice_angstrom": [[-3.897, -1.291, 0.112], [1.169, -3.657, -1.455], [2.045, 0.823, 5.368]], "species": ["Eu", "Ni", "Ni", "Ge", "Ge"], "frac_coords": [[0.000, 0.000, 0.000], [0.750, 0.250, 0.500], [0.250, 0.750, 0.500], [0.635, 0.635, 0.271], [0.365, 0.365, 0.729]], "magnetic_moment_mub_per_fu": 7.21, "e_form_ev_per_atom": -0.593, "sg": "I4/mmm", "volume_a3_per_atom": 16.94}

---

(10)
{"formula": "Ti5P4O20", "functional": "meta-GGA r2SCAN", "state": "optimized geometry", "lattice_angstrom": [[-6.566, 3.274, 1.634], [-6.234, -10.380, -4.254], [0.454, -5.701, 13.245]], "species": ["Ti", "Ti", "Ti", "Ti", "Ti", "Ti", "Ti", "Ti", "Ti", "Ti", "Ti", "Ti", "Ti", "Ti", "Ti", "Ti", "Ti", "Ti", "Ti", "Ti", "P", "P", "P", "P", "P", "P", "P", "P", "P", "P", "P", "P", "P", "P", "P", "P", "O", "O", "O", "O", "O", "O", "O", "O", "O", "O", "O", "O", "O", "O", "O", "O", "O", "O", "O", "O", "O", "O", "O", "O", "O", "O", "O", "O", "O", "O", "O", "O", "O", "O", "O", "O", "O", "O", "O", "O", "O", "O", "O", "O", "O", "O", "O", "O", "O", "O", "O", "O", "O", "O", "O", "O", "O", "O", "O", "O", "O", "O", "O", "O", "O", "O", "O", "O", "O", "O", "O", "O", "O", "O", "O", "O", "O", "O", "O", "O"], "frac_coords": [[0.608, 0.144, 0.178], [0.877, 0.376, 0.442], [0.648, 0.384, 0.054], [0.108, 0.356, 0.822], [0.392, 0.644, 0.322], [0.623, 0.624, 0.942], [0.148, 0.607, 0.705], [0.123, 0.876, 0.058], [0.903, 0.133, 0.329], [0.148, 0.116, 0.946], [0.597, 0.867, 0.829], [0.852, 0.616, 0.554], [0.892, 0.856, 0.678], [0.403, 0.367, 0.671], [0.352, 0.393, 0.205], [0.097, 0.633, 0.171], [0.377, 0.124, 0.558], [0.352, 0.884, 0.446], [0.852, 0.107, 0.795], [0.648, 0.893, 0.295], [0.480, 0.758, 0.120], [0.735, 0.995, 0.500], [0.980, 0.742, 0.880], [0.265, 0.495, 0.000], [0.020, 0.242, 0.620], [0.760, 0.490, 0.754], [0.520, 0.258, 0.380], [0.260, 0.010, 0.246], [0.499, 0.743, 0.628], [0.765, 0.005, 0.000], [0.999, 0.757, 0.372], [0.001, 0.257, 0.128], [0.240, 0.990, 0.746], [0.740, 0.510, 0.254], [0.235, 0.505, 0.500], [0.501, 0.243, 0.872], [0.118, 0.432, 0.445], [0.162, 0.422, 0.936], [0.886, 0.186, 0.192], [0.136, 0.555, 0.061], [0.862, 0.677, 0.941], [0.883, 0.551, 0.687], [0.138, 0.310, 0.686], [0.362, 0.690, 0.186], [0.636, 0.945, 0.939], [0.862, 0.810, 0.814], [0.375, 0.929, 0.803], [0.905, 0.691, 0.444], [0.797, 0.499, 0.502], [0.662, 0.078, 0.064], [0.622, 0.925, 0.434], [0.460, 0.249, 0.621], [0.619, 0.587, 0.305], [0.908, 0.170, 0.682], [0.703, 0.501, 0.002], [0.640, 0.185, 0.815], [0.138, 0.177, 0.559], [0.617, 0.449, 0.187], [0.408, 0.330, 0.318], [0.466, 0.767, 0.359], [0.875, 0.571, 0.197], [0.864, 0.055, 0.439], [0.622, 0.666, 0.581], [0.119, 0.913, 0.695], [0.902, 0.312, 0.564], [0.614, 0.814, 0.692], [0.966, 0.733, 0.641], [0.230, 0.485, 0.741], [0.534, 0.267, 0.141], [0.092, 0.670, 0.818], [0.730, 0.015, 0.259], [0.360, 0.685, 0.685], [0.618, 0.068, 0.555], [0.598, 0.688, 0.064], [0.338, 0.578, 0.436], [0.034, 0.233, 0.859], [0.881, 0.413, 0.805], [0.595, 0.309, 0.944], [0.140, 0.315, 0.185], [0.638, 0.190, 0.314], [0.114, 0.686, 0.308], [0.405, 0.809, 0.556], [0.592, 0.830, 0.182], [0.333, 0.062, 0.681], [0.878, 0.075, 0.934], [0.364, 0.445, 0.561], [0.122, 0.575, 0.566], [0.117, 0.051, 0.813], [0.203, 0.999, 0.998], [0.860, 0.815, 0.315], [0.540, 0.749, 0.879], [0.040, 0.751, 0.121], [0.882, 0.932, 0.055], [0.833, 0.438, 0.319], [0.095, 0.191, 0.056], [0.638, 0.323, 0.441], [0.378, 0.166, 0.919], [0.362, 0.823, 0.059], [0.838, 0.922, 0.564], [0.383, 0.949, 0.313], [0.667, 0.562, 0.819], [0.382, 0.568, 0.945], [0.167, 0.938, 0.181], [0.960, 0.251, 0.379], [0.098, 0.812, 0.936], [0.625, 0.429, 0.697], [0.270, 0.515, 0.241], [0.402, 0.188, 0.436], [0.770, 0.985, 0.759], [0.386, 0.314, 0.808], [0.122, 0.834, 0.419], [0.378, 0.425, 0.066], [0.381, 0.087, 0.195], [0.125, 0.071, 0.303], [0.878, 0.334, 0.081], [0.297, 0.001, 0.498]], "magnetic_moment_mub_per_fu": 0.00, "e_form_ev_per_atom": -2.899, "sg": "P2_12_12_1", "volume_a3_per_atom": 12.00}

---

(11)
{"formula": "YbPu3", "functional": "meta-GGA r2SCAN", "state": "optimized geometry", "lattice_angstrom": [[-4.578, -3.389, -0.891], [-4.323, 1.530, 3.494], [3.342, 3.028, -3.591]], "species": ["Yb", "Pu", "Pu", "Pu"], "frac_coords": [[0.000, 0.000, 0.000], [0.750, 0.250, 0.500], [0.250, 0.750, 0.500], [0.500, 0.500, 0.000]], "magnetic_moment_mub_per_fu": 6.18, "e_form_ev_per_atom": -0.039, "sg": "I4/mmm", "volume_a3_per_atom": 25.71, "relative_energy_ev_per_atom": 0.075}

---

(12)
{"formula": "Y2Ga9Ru3", "functional": "meta-GGA r2SCAN", "state": "optimized geometry", "lattice_angstrom": [[0.370, 5.615, -4.800], [-5.982, -0.624, 4.306], [4.280, 5.480, 6.740]], "species": ["Y", "Y", "Y", "Y", "Ga", "Ga", "Ga", "Ga", "Ga", "Ga", "Ga", "Ga", "Ga", "Ga", "Ga", "Ga", "Ga", "Ga", "Ga", "Ga", "Ga", "Ga", "Ru", "Ru", "Ru", "Ru", "Ru", "Ru"], "frac_coords": [[0.998, 0.676, 0.250], [0.002, 0.324, 0.750], [0.676, 0.998, 0.250], [0.324, 0.002, 0.750], [0.135, 0.135, 0.250], [0.865, 0.865, 0.750], [0.012, 0.339, 0.076], [0.988, 0.661, 0.924], [0.988, 0.661, 0.576], [0.339, 0.012, 0.424], [0.012, 0.339, 0.424], [0.661, 0.988, 0.576], [0.661, 0.988, 0.924], [0.339, 0.012, 0.076], [0.339, 0.339, 0.561], [0.661, 0.661, 0.439], [0.661, 0.661, 0.061], [0.339, 0.339, 0.939], [0.340, 0.553, 0.250], [0.660, 0.447, 0.750], [0.553, 0.340, 0.250], [0.447, 0.660, 0.750], [0.677, 0.323, 0.000], [0.323, 0.677, 0.000], [0.323, 0.677, 0.500], [0.677, 0.323, 0.500], [0.000, 0.000, 0.000], [0.000, 0.000, 0.500]], "magnetic_moment_mub_per_fu": 0.00, "e_form_ev_per_atom": -0.590, "sg": "Cmcm", "volume_a3_per_atom": 16.58}

---

(13)
{"formula": "TbYTl2", "functional": "meta-GGA r2SCAN", "state": "optimized geometry", "lattice_angstrom": [[0.000, 3.785, 3.785], [3.785, 0.000, 3.785], [3.785, 3.785, 0.000]], "species": ["Tb", "Y", "Tl", "Tl"], "frac_coords": [[0.250, 0.250, 0.250], [0.750, 0.750, 0.750], [0.000, 0.000, 0.000], [0.500, 0.500, 0.500]], "magnetic_moment_mub_per_fu": 0.00, "e_form_ev_per_atom": -0.464, "sg": "Fm-3m", "volume_a3_per_atom": 27.10}

---

(14)
{"formula": "Li3MnPCO7", "functional": "meta-GGA r2SCAN", "state": "optimized geometry", "lattice_angstrom": [[6.331, 0.000, 0.000], [0.000, 9.587, -0.085], [0.000, 4.268, 8.427]], "species": ["Li", "Li", "Li", "Li", "Li", "Li", "Li", "Li", "Li", "Li", "Li", "Li", "Mn", "Mn", "Mn", "Mn", "P", "P", "P", "P", "C", "C", "C", "C", "O", "O", "O", "O", "O", "O", "O", "O", "O", "O", "O", "O", "O", "O", "O", "O", "O", "O", "O", "O", "O", "O", "O", "O", "O", "O", "O", "O"], "frac_coords": [[0.260, 0.114, 0.302], [0.240, 0.114, 0.802], [0.015, 0.285, 0.481], [0.485, 0.285, 0.981], [0.749, 0.372, 0.676], [0.751, 0.372, 0.176], [0.251, 0.628, 0.324], [0.249, 0.628, 0.824], [0.985, 0.715, 0.519], [0.515, 0.715, 0.019], [0.740, 0.886, 0.698], [0.760, 0.886, 0.198], [0.518, 0.251, 0.500], [0.982, 0.251, 0.000], [0.482, 0.749, 0.500], [0.018, 0.749, 0.000], [0.241, 0.408, 0.689], [0.259, 0.408, 0.189], [0.759, 0.592, 0.311], [0.741, 0.592, 0.811], [0.774, 0.048, 0.369], [0.726, 0.048, 0.869], [0.226, 0.952, 0.631], [0.274, 0.952, 0.131], [0.683, 0.065, 0.729], [0.817, 0.065, 0.229], [0.263, 0.093, 0.519], [0.767, 0.163, 0.403], [0.237, 0.093, 0.019], [0.733, 0.163, 0.903], [0.053, 0.309, 0.684], [0.437, 0.319, 0.679], [0.063, 0.319, 0.179], [0.447, 0.309, 0.184], [0.762, 0.424, 0.441], [0.261, 0.412, 0.351], [0.738, 0.424, 0.941], [0.239, 0.412, 0.851], [0.739, 0.588, 0.649], [0.238, 0.576, 0.559], [0.761, 0.588, 0.149], [0.262, 0.576, 0.059], [0.947, 0.691, 0.316], [0.563, 0.681, 0.321], [0.937, 0.681, 0.821], [0.553, 0.691, 0.816], [0.233, 0.837, 0.597], [0.737, 0.907, 0.481], [0.267, 0.837, 0.097], [0.763, 0.907, 0.981], [0.317, 0.935, 0.271], [0.183, 0.935, 0.771]], "magnetic_moment_mub_per_fu": 5.00, "e_form_ev_per_atom": -2.233, "sg": "P2_1/c", "volume_a3_per_atom": 9.88}

---

(15)
{"formula": "Pa3As4", "functional": "meta-GGA r2SCAN", "state": "optimized geometry", "lattice_angstrom": [[-5.840, 4.618, 0.153], [-1.241, -5.724, 4.598], [6.112, 3.654, 2.178]], "species": ["Pa", "Pa", "Pa", "Pa", "Pa", "Pa", "As", "As", "As", "As", "As", "As", "As", "As"], "frac_coords": [[0.750, 0.875, 0.125], [0.625, 0.375, 0.250], [0.875, 0.125, 0.750], [0.125, 0.750, 0.875], [0.375, 0.250, 0.625], [0.250, 0.625, 0.375], [0.656, 0.656, 0.656], [0.344, 0.500, 0.000], [0.500, 0.000, 0.344], [0.000, 0.344, 0.500], [0.500, 0.000, 0.844], [0.000, 0.844, 0.500], [0.156, 0.156, 0.156], [0.844, 0.500, 0.000]], "magnetic_moment_mub_per_fu": 2.90, "e_form_ev_per_atom": -1.189, "sg": "I-43d", "volume_a3_per_atom": 22.70}